VASP calculation (PBE with a Hubbard U) on a relaxed CaW2O4 crystal.

Output
DFT formation energy   -1862 meV per atom
Distance to the lowest polymorph of the same formula   208.4 meV/atom

Lattice parameters (Å, degrees): 6.588 6.597 16.038 90.11 90.76 119.26
Sites, in units of the cell vectors:
Ca: 0.000 0.000 0.000
Ca: 0.001 0.485 0.498
Ca: 0.333 0.649 0.335
Ca: 0.336 0.157 0.834
Ca: 0.342 0.159 0.206
Ca: 0.659 0.311 0.664
W: 0.051 0.515 0.137
W: 0.166 0.316 0.667
W: 0.166 0.818 0.668
W: 0.376 0.133 0.462
W: 0.495 0.484 0.995
W: 0.503 0.988 0.997
W: 0.625 0.870 0.533
W: 0.668 0.822 0.167
W: 0.710 0.769 0.799
W: 0.835 0.659 0.333
W: 0.842 0.154 0.335
W: 0.974 0.525 0.867
O: 0.010 0.994 0.741
O: 0.035 0.501 0.743
O: 0.136 0.796 0.413
O: 0.165 0.311 0.411
O: 0.173 0.334 0.917
O: 0.185 0.824 0.922
O: 0.281 0.113 0.598
O: 0.326 0.647 0.595
O: 0.356 0.166 0.064
O: 0.368 0.673 0.073
O: 0.460 0.977 0.741
O: 0.478 0.478 0.744
O: 0.541 0.975 0.249
O: 0.542 0.541 0.245
O: 0.646 0.811 0.919
O: 0.672 0.315 0.927
O: 0.684 0.339 0.401
O: 0.692 0.832 0.413
O: 0.787 0.102 0.087
O: 0.788 0.665 0.083
O: 0.857 0.155 0.591
O: 0.874 0.646 0.599
O: 0.957 0.965 0.254
O: 0.964 0.467 0.260